Compound: Tm4B6O15
Source: the Materials Project database
Functional: PBE
Structure: relaxed

## Properties
- Calculated formation energy: -3.32 eV/atom
- ρ: 4.5 Mg/m³
- Energy above the most stable polymorph in this dataset: 1.68 eV/f.u.

CIF file:
```
data_Tm4B6O15
_chemical_formula_sum 'Tm12 B18 O45'
_cell_length_a 13.4249
_cell_length_b 13.4249
_cell_length_c 6.8847
_cell_angle_alpha 90.00
_cell_angle_beta 90.00
_cell_angle_gamma 120.00
_space_group_name_H-M_alt 'R 3'
_space_group_IT_number 146
_space_group_name_Hall 'R 3'
loop_
_atom_site_label
_atom_site_type_symbol
_atom_site_fract_x
_atom_site_fract_y
_atom_site_fract_z
_atom_site_occupancy
Tm1 Tm 0.0000 0.0000 0.0000 1
Tm2 Tm 0.0418 0.7830 0.0651 1
B1 B 0.1796 0.0509 0.3253 1
B2 B 0.1902 0.7211 0.3255 1
O1 O 0.0437 0.1523 0.2093 1
O2 O 0.0773 0.6890 0.2877 1
O3 O 0.1497 0.1185 0.8425 1
O4 O 0.1638 0.0509 0.5269 1
O5 O 0.1833 0.7839 0.9065 1
```



Compound: Ho4Si3Ge
Source: the Materials Project database
Functional: PBE
Structure: relaxed

## Properties
- Calculated formation energy: -0.83 eV/atom
- ρ: 7.9 Mg/m³

CIF file:
```
data_Ho4Si3Ge
_chemical_formula_sum 'Ho4 Si3 Ge1'
_cell_length_a 3.852
_cell_length_b 4.257
_cell_length_c 10.516
_cell_angle_alpha 90.00
_cell_angle_beta 90.00
_cell_angle_gamma 90.00
_space_group_name_H-M_alt 'P m m 2'
_space_group_IT_number 25
_space_group_name_Hall 'P 2 -2'
loop_
_atom_site_label
_atom_site_type_symbol
_atom_site_fract_x
_atom_site_fract_y
_atom_site_fract_z
_atom_site_occupancy
Ho1 Ho 0.000 0.000 0.000 1
Ho2 Ho 0.000 0.500 0.498 1
Ho3 Ho 0.500 0.000 0.718 1
Ho4 Ho 0.500 0.500 0.219 1
Si1 Si 0.000 0.000 0.281 1
Si2 Si 0.500 0.000 0.437 1
Si3 Si 0.500 0.500 0.939 1
Ge1 Ge 0.000 0.500 0.779 1
```